[1]
Tl2Ge2O7 after structural relaxation. Source: Materials Project, functional GGA-PBE. Values from VASP.

Results
Corrected total energy (MP2020 scheme) = -6.0449 eV/atom

```
&SYSTEM
  ibrav = 0, nat = 22, ntyp = 3
/
ATOMIC_SPECIES
Tl 204.38 Tl.upf
Ge 72.64 Ge.upf
O 16.00 O.upf
ATOMIC_POSITIONS crystal
Tl 0.125 0.625 0.125
Ge 0.625 0.625 0.625
O 0.551 0.551 0.949
O 0.250 0.250 0.250
O 0.949 0.949 0.551
O 0.699 0.301 0.699
Ge 0.125 0.625 0.625
Ge 0.625 0.125 0.625
O 0.301 0.699 0.301
O 0.551 0.949 0.551
O 0.301 0.699 0.699
Tl 0.125 0.125 0.125
Tl 0.625 0.125 0.125
O 0.699 0.699 0.301
O 0.699 0.301 0.301
O 0.551 0.949 0.949
Tl 0.125 0.125 0.625
O 0.000 0.000 0.000
O 0.301 0.301 0.699
O 0.949 0.551 0.949
Ge 0.625 0.625 0.125
O 0.949 0.551 0.551
CELL_PARAMETERS angstrom
0.000 5.033 5.033
5.033 0.000 5.033
5.033 5.033 0.000
```

***

[2]
MnPt after structural relaxation. Source: Materials Project, functional GGA-PBE. Values from VASP.

Results
Total magnetic moment = 3.65 μB per cell

```
&SYSTEM
  ibrav = 0, nat = 2, ntyp = 2
/
ATOMIC_SPECIES
Pt 195.08 Pt.upf
Mn 54.94 Mn.upf
ATOMIC_POSITIONS crystal
Pt 0.500 0.500 0.500
Mn 0.000 0.000 0.000
CELL_PARAMETERS angstrom
4.378 -1.345 0.000
4.378 1.345 0.000
3.965 0.000 2.292
```

***

[3]
ZrUAl4 after structural relaxation. Source: Materials Project, functional GGA-PBE. Values from VASP.

Results
Total magnetic moment = 2.98 μB per cell

```
&SYSTEM
  ibrav = 0, nat = 6, ntyp = 3
/
ATOMIC_SPECIES
U 238.03 U.upf
Al 26.98 Al.upf
Zr 91.22 Zr.upf
ATOMIC_POSITIONS crystal
U 0.250 0.250 0.250
Al 0.625 0.625 0.125
Al 0.625 0.625 0.625
Zr 0.000 0.000 0.000
Al 0.625 0.125 0.625
Al 0.125 0.625 0.625
CELL_PARAMETERS angstrom
0.000 3.848 3.848
3.848 0.000 3.848
3.848 3.848 0.000
```

***

[4]
Tb5Si3 after structural relaxation. Source: Materials Project, functional GGA-PBE. Values from VASP.

Results
Corrected total energy (MP2020 scheme) = -5.5739 eV/atom

```
&SYSTEM
  ibrav = 0, nat = 16, ntyp = 2
/
ATOMIC_SPECIES
Si 28.09 Si.upf
Tb 158.93 Tb.upf
ATOMIC_POSITIONS crystal
Si 0.394 0.000 0.750
Tb 0.667 0.333 0.000
Si 0.394 0.394 0.250
Tb 0.667 0.333 0.500
Tb 0.333 0.667 0.500
Si 0.606 0.000 0.250
Si 0.606 0.606 0.750
Tb 0.000 0.243 0.250
Tb 0.243 0.243 0.750
Tb 0.757 0.757 0.250
Tb 0.757 0.000 0.750
Tb 0.000 0.757 0.750
Tb 0.243 0.000 0.250
Si 0.000 0.394 0.750
Si 0.000 0.606 0.250
Tb 0.333 0.667 0.000
CELL_PARAMETERS angstrom
4.247 -7.355 0.000
4.247 7.355 0.000
0.000 0.000 6.414
```

***

[5]
Hf3P3Pd4 after structural relaxation. Source: Materials Project, functional GGA-PBE. Values from VASP.

```
&SYSTEM
  ibrav = 0, nat = 40, ntyp = 3
/
ATOMIC_SPECIES
Pd 106.42 Pd.upf
P 30.97 P.upf
Hf 178.49 Hf.upf
ATOMIC_POSITIONS crystal
Pd 0.250 0.181 0.419
P 0.250 0.533 0.114
Pd 0.750 0.689 0.824
P 0.250 0.390 0.323
Hf 0.250 0.021 0.260
Hf 0.250 0.618 0.952
P 0.250 0.180 0.043
Hf 0.750 0.521 0.240
Pd 0.750 0.383 0.628
P 0.250 0.110 0.823
Pd 0.250 0.319 0.919
Hf 0.250 0.588 0.561
Pd 0.250 0.617 0.372
Pd 0.250 0.768 0.706
Hf 0.750 0.088 0.939
P 0.750 0.680 0.457
Hf 0.250 0.882 0.452
Hf 0.750 0.979 0.740
Hf 0.750 0.118 0.548
Hf 0.250 0.912 0.061
P 0.750 0.467 0.886
P 0.750 0.890 0.177
P 0.750 0.033 0.386
Pd 0.750 0.117 0.128
P 0.250 0.967 0.614
Pd 0.750 0.232 0.294
Pd 0.250 0.732 0.206
P 0.250 0.320 0.543
Pd 0.750 0.268 0.794
Hf 0.750 0.382 0.048
Pd 0.250 0.883 0.872
P 0.750 0.610 0.677
Pd 0.250 0.311 0.176
Pd 0.750 0.819 0.581
Pd 0.250 0.189 0.676
Hf 0.750 0.412 0.439
Hf 0.250 0.479 0.760
P 0.750 0.820 0.957
Pd 0.750 0.811 0.324
Pd 0.750 0.681 0.081
CELL_PARAMETERS angstrom
-1.358 -2.393 2.633
8.988 -4.480 0.564
4.494 10.511 11.870
```

***

[6]
MgSc2S4 after structural relaxation. Source: Materials Project, functional GGA-PBE. Values from VASP.

Results
Corrected total energy (MP2020 scheme) = -6.4712 eV/atom
Energy above the most stable polymorph in this dataset = 0.0 meV/atom

```
&SYSTEM
  ibrav = 0, nat = 14, ntyp = 3
/
ATOMIC_SPECIES
S 32.06 S.upf
Sc 44.96 Sc.upf
Mg 24.30 Mg.upf
ATOMIC_POSITIONS crystal
S 0.383 0.383 0.383
Sc 0.625 0.625 0.625
Sc 0.625 0.125 0.625
Mg 0.000 0.000 0.000
Mg 0.250 0.250 0.250
S 0.867 0.867 0.399
S 0.383 0.851 0.383
Sc 0.125 0.625 0.625
S 0.399 0.867 0.867
S 0.867 0.867 0.867
Sc 0.625 0.625 0.125
S 0.867 0.399 0.867
S 0.383 0.383 0.851
S 0.851 0.383 0.383
CELL_PARAMETERS angstrom
0.000 5.351 5.351
5.351 0.000 5.351
5.351 5.351 0.000
```

***

[7]
SmHfO14 after structural relaxation. Source: Materials Project, functional GGA-PBE. Values from VASP.

Results
Corrected total energy (MP2020 scheme) = -5.8276 eV/atom
Total magnetic moment = 0.00 μB per cell

```
&SYSTEM
  ibrav = 0, nat = 32, ntyp = 3
/
ATOMIC_SPECIES
Sm 150.36 Sm.upf
O 16.00 O.upf
Hf 178.49 Hf.upf
ATOMIC_POSITIONS crystal
Sm 0.750 0.750 0.750
O 0.571 0.231 0.231
O 0.519 0.519 0.782
O 0.519 0.179 0.519
Sm 0.000 0.000 0.000
O 0.375 0.875 0.875
O 0.231 0.231 0.968
O 0.968 0.231 0.571
O 0.179 0.782 0.519
O 0.231 0.571 0.968
O 0.231 0.231 0.571
O 0.231 0.968 0.231
O 0.782 0.519 0.179
O 0.782 0.519 0.519
O 0.782 0.179 0.519
O 0.968 0.571 0.231
O 0.179 0.519 0.782
O 0.875 0.875 0.875
O 0.179 0.519 0.519
O 0.231 0.571 0.231
O 0.875 0.375 0.875
O 0.571 0.968 0.231
O 0.231 0.968 0.571
O 0.875 0.875 0.375
O 0.968 0.231 0.231
O 0.571 0.231 0.968
Hf 0.500 0.500 0.500
Hf 0.250 0.250 0.250
O 0.519 0.179 0.782
O 0.519 0.782 0.519
O 0.519 0.782 0.179
O 0.519 0.519 0.179
CELL_PARAMETERS angstrom
-5.358 -5.358 0.000
-5.358 0.000 -5.358
0.000 -5.358 -5.358
```

***

[8]
Si6Sb3N11 after structural relaxation. Source: Materials Project, functional GGA-PBE. Values from VASP.

Results
Corrected total energy (MP2020 scheme) = -7.5035 eV/atom
Total magnetic moment = 0.00 μB per cell

```
&SYSTEM
  ibrav = 0, nat = 40, ntyp = 3
/
ATOMIC_SPECIES
N 14.01 N.upf
Sb 121.76 Sb.upf
Si 28.09 Si.upf
ATOMIC_POSITIONS crystal
N 0.500 0.000 0.032
Sb 0.500 0.500 0.972
N 0.924 0.823 0.662
N 0.576 0.731 0.189
N 0.924 0.231 0.189
N 0.731 0.424 0.189
Si 0.117 0.617 0.051
Sb 0.310 0.810 0.956
N 0.323 0.424 0.662
Si 0.617 0.883 0.051
N 0.823 0.076 0.662
N 0.424 0.269 0.189
N 0.424 0.677 0.662
Si 0.919 0.208 0.532
N 0.000 0.500 0.032
N 0.337 0.163 0.710
Sb 0.190 0.310 0.956
Sb 0.000 0.000 0.972
Si 0.419 0.292 0.532
N 0.076 0.177 0.662
N 0.677 0.576 0.662
Sb 0.690 0.190 0.956
Si 0.292 0.581 0.532
N 0.837 0.337 0.710
N 0.231 0.076 0.189
Si 0.581 0.708 0.532
N 0.163 0.663 0.710
Sb 0.810 0.690 0.956
Si 0.883 0.383 0.051
N 0.269 0.576 0.189
Si 0.708 0.419 0.532
N 0.769 0.924 0.189
N 0.576 0.323 0.662
Si 0.383 0.117 0.051
Si 0.081 0.792 0.532
Si 0.792 0.919 0.532
Si 0.208 0.081 0.532
N 0.076 0.769 0.189
N 0.663 0.837 0.710
N 0.177 0.924 0.662
CELL_PARAMETERS angstrom
-9.443 -3.615 -0.865
0.991 -4.723 8.927
-1.735 3.983 2.300
```

***

[9]
KNdHfSnO6 after structural relaxation. Source: Materials Project, functional GGA-PBE. Values from VASP.

Results
Corrected total energy (MP2020 scheme) = -7.9259 eV/atom
Total magnetic moment = 0.00 μB per cell

```
&SYSTEM
  ibrav = 0, nat = 10, ntyp = 5
/
ATOMIC_SPECIES
K 39.10 K.upf
O 16.00 O.upf
Hf 178.49 Hf.upf
Nd 144.24 Nd.upf
Sn 118.71 Sn.upf
ATOMIC_POSITIONS crystal
K 0.250 0.250 0.250
O 0.750 0.750 0.250
O 0.250 0.250 0.750
Hf 0.000 0.000 0.000
O 0.250 0.750 0.750
O 0.750 0.250 0.750
O 0.250 0.750 0.250
Nd 0.750 0.750 0.750
O 0.750 0.250 0.250
Sn 0.500 0.500 0.500
CELL_PARAMETERS angstrom
2.494 4.536 -2.619
-3.222 3.680 -3.118
-0.975 5.374 1.955
```

***

[10]
Ba2SiTe4 after structural relaxation. Source: Materials Project, functional GGA-PBE. Values from VASP.

Results
Corrected total energy (MP2020 scheme) = -4.4224 eV/atom

```
&SYSTEM
  ibrav = 0, nat = 14, ntyp = 3
/
ATOMIC_SPECIES
Te 127.60 Te.upf
Si 28.09 Si.upf
Ba 137.33 Ba.upf
ATOMIC_POSITIONS crystal
Te 0.507 0.006 0.233
Te 0.493 0.994 0.767
Si 0.250 0.789 0.294
Te 0.993 0.006 0.233
Ba 0.750 0.776 0.552
Si 0.750 0.211 0.706
Ba 0.250 0.224 0.448
Te 0.007 0.994 0.767
Te 0.750 0.376 0.435
Te 0.250 0.624 0.565
Te 0.250 0.595 0.126
Ba 0.750 0.729 0.071
Te 0.750 0.405 0.874
Ba 0.250 0.271 0.929
CELL_PARAMETERS angstrom
7.686 0.000 0.000
0.000 7.653 0.000
0.000 3.096 9.232
```

***

[11]
K2SnHCl4 after structural relaxation. Source: Materials Project, functional GGA-PBE. Values from VASP.

Results
Corrected total energy (MP2020 scheme) = -3.5152 eV/atom
Total magnetic moment = 4.00 μB per cell

```
&SYSTEM
  ibrav = 0, nat = 32, ntyp = 4
/
ATOMIC_SPECIES
H 1.01 H.upf
Cl 35.45 Cl.upf
K 39.10 K.upf
Sn 118.71 Sn.upf
ATOMIC_POSITIONS crystal
H 0.000 0.000 0.000
Cl 0.727 0.250 0.040
Cl 0.773 0.250 0.540
Cl 0.218 0.250 0.452
H 0.500 0.000 0.500
K 0.377 0.750 0.699
Cl 0.389 0.496 0.211
K 0.890 0.750 0.815
Cl 0.111 0.496 0.711
K 0.390 0.250 0.685
Sn 0.000 0.000 0.500
Cl 0.227 0.750 0.460
Cl 0.111 0.004 0.711
K 0.110 0.250 0.185
K 0.123 0.750 0.199
Cl 0.889 0.996 0.289
Cl 0.889 0.504 0.289
Cl 0.611 0.996 0.789
Cl 0.782 0.750 0.548
Cl 0.273 0.750 0.960
K 0.623 0.250 0.301
H 0.000 0.500 0.000
Sn 0.500 0.500 0.000
Cl 0.282 0.250 0.952
Cl 0.611 0.504 0.789
Sn 0.000 0.500 0.500
H 0.500 0.500 0.500
K 0.610 0.750 0.315
K 0.877 0.250 0.801
Cl 0.389 0.004 0.211
Cl 0.718 0.750 0.048
Sn 0.500 0.000 0.000
CELL_PARAMETERS angstrom
0.000 0.000 -8.162
0.000 -8.912 0.000
-12.679 0.000 0.000
```

***

[12]
Cs2LiNdI6 after structural relaxation. Source: Materials Project, functional GGA-PBE. Values from VASP.

Results
Corrected total energy (MP2020 scheme) = -3.4356 eV/atom
Total magnetic moment = 0.00 μB per cell

```
&SYSTEM
  ibrav = 0, nat = 10, ntyp = 4
/
ATOMIC_SPECIES
I 126.90 I.upf
Nd 144.24 Nd.upf
Cs 132.91 Cs.upf
Li 6.94 Li.upf
ATOMIC_POSITIONS crystal
I 0.254 0.746 0.746
Nd 0.000 0.000 0.000
I 0.746 0.746 0.254
Cs 0.750 0.750 0.750
I 0.746 0.254 0.746
I 0.254 0.746 0.254
I 0.746 0.254 0.254
I 0.254 0.254 0.746
Cs 0.250 0.250 0.250
Li 0.500 0.500 0.500
CELL_PARAMETERS angstrom
0.000 6.128 6.128
6.128 0.000 6.128
6.128 6.128 0.000
```

***

[13]
Hg4SbO6 after structural relaxation. Source: Materials Project, functional GGA-PBE. Values from VASP.

Results
Corrected total energy (MP2020 scheme) = -3.9193 eV/atom
Total magnetic moment = 0.00 μB per cell

```
&SYSTEM
  ibrav = 0, nat = 11, ntyp = 3
/
ATOMIC_SPECIES
O 16.00 O.upf
Sb 121.76 Sb.upf
Hg 200.59 Hg.upf
ATOMIC_POSITIONS crystal
O 0.115 0.516 0.194
Sb 0.863 0.209 0.194
O 0.761 0.483 0.404
O 0.180 0.143 0.402
Hg 0.256 0.603 0.982
Hg 0.624 0.967 0.751
O 0.615 0.902 0.194
Hg 0.098 0.433 0.637
O 0.969 0.936 0.984
Hg 0.473 0.815 0.406
O 0.548 0.275 0.985
CELL_PARAMETERS angstrom
-1.124 3.638 -3.100
-3.824 -2.437 -1.688
-2.135 2.725 7.930
```

***

[14]
Er2In after structural relaxation. Source: Materials Project, functional GGA-PBE. Values from VASP.

```
&SYSTEM
  ibrav = 0, nat = 6, ntyp = 2
/
ATOMIC_SPECIES
In 114.82 In.upf
Er 167.26 Er.upf
ATOMIC_POSITIONS crystal
In 0.333 0.667 0.750
In 0.667 0.333 0.250
Er 0.000 0.000 0.000
Er 0.000 0.000 0.500
Er 0.333 0.667 0.250
Er 0.667 0.333 0.750
CELL_PARAMETERS angstrom
-2.676 -4.635 0.000
-2.676 4.635 0.000
0.000 0.000 -6.677
```

***

[15]
EuYO2 after structural relaxation. Source: Materials Project, functional GGA-PBE. Values from VASP.

Results
Corrected total energy (MP2020 scheme) = -9.8268 eV/atom
Total magnetic moment = 7.24 μB per cell

```
&SYSTEM
  ibrav = 0, nat = 4, ntyp = 3
/
ATOMIC_SPECIES
O 16.00 O.upf
Y 88.91 Y.upf
Eu 151.96 Eu.upf
ATOMIC_POSITIONS crystal
O 0.238 0.238 0.238
O 0.762 0.762 0.762
Y 0.500 0.500 0.500
Eu 0.000 0.000 0.000
CELL_PARAMETERS angstrom
-2.252 -3.261 -4.746
1.202 -3.524 -4.936
-0.570 -5.522 -2.722
```

***

[16]
Zr3Pt after structural relaxation. Source: Materials Project, functional GGA-PBE. Values from VASP.

Results
Total magnetic moment = 0.00 μB per cell

```
&SYSTEM
  ibrav = 0, nat = 4, ntyp = 2
/
ATOMIC_SPECIES
Zr 91.22 Zr.upf
Pt 195.08 Pt.upf
ATOMIC_POSITIONS crystal
Zr 0.500 0.500 0.000
Zr 0.500 0.000 0.500
Zr 0.000 0.500 0.500
Pt 0.000 0.000 0.000
CELL_PARAMETERS angstrom
-2.162 0.702 3.710
2.275 -3.170 1.925
3.014 2.897 1.208
```

***

Number 1: formation enthalpy at 0 K -1.63 eV/atom, uncorrected energy -5.608 eV per atom. Number 2: formation enthalpy at 0 K -0.01 eV/atom, uncorrected energy -7.624 eV per atom. Number 3: formation enthalpy at 0 K -0.23 eV/atom, uncorrected energy -6.036 eV per atom. Number 4: formation enthalpy at 0 K -0.64 eV/atom, uncorrected energy -5.601 eV per atom. Number 5: formation enthalpy at 0 K -0.98 eV/atom, uncorrected energy -7.663 eV per atom. Number 6: formation enthalpy at 0 K -2.07 eV/atom, uncorrected energy -6.184 eV per atom. Number 7: formation enthalpy at 0 K -0.58 eV/atom, uncorrected energy -5.226 eV per atom. Number 8: formation enthalpy at 0 K -0.67 eV/atom, uncorrected energy -7.305 eV per atom. Number 9: formation enthalpy at 0 K -2.97 eV/atom, uncorrected energy -7.514 eV per atom. Number 10: formation enthalpy at 0 K -1.30 eV/atom, uncorrected energy -4.181 eV per atom. Number 11: formation enthalpy at 0 K -1.39 eV/atom, uncorrected energy -3.208 eV per atom. Number 12: formation enthalpy at 0 K -1.67 eV/atom, uncorrected energy -3.208 eV per atom. Number 13: formation enthalpy at 0 K -0.73 eV/atom, uncorrected energy -3.545 eV per atom. Number 14: formation enthalpy at 0 K -0.34 eV/atom, uncorrected energy -4.305 eV per atom. Number 15: formation enthalpy at 0 K -3.17 eV/atom, uncorrected energy -9.483 eV per atom. Number 16: formation enthalpy at 0 K -0.42 eV/atom, uncorrected energy -8.346 eV per atom.